Computed, not measured: a relaxed Rb3Na crystal at the meta-GGA r2SCAN level of DFT.

For the magnetization, the calculation gives 0.00 μB per formula unit. As for the formation energy: 0.04 eV/atom. The crystal system is hexagonal. As for the uncorrected energy: -11.3040 eV per atom.

Structure (CIF):
```
data_Rb3Na
_chemical_formula_sum 'Rb6 Na2'
_cell_length_a 9.6001
_cell_length_b 9.6001
_cell_length_c 7.6574
_cell_angle_alpha 90.00
_cell_angle_beta 90.00
_cell_angle_gamma 120.00
_space_group_name_H-M_alt 'P 1'
_space_group_IT_number 1
loop_
_space_group_symop_operation_xyz
'x,y,z'
loop_
_atom_site_label
_atom_site_fract_x
_atom_site_fract_y
_atom_site_fract_z
Na1 0.3333 0.6667 0.7500
Na2 0.6667 0.3333 0.2500
Rb1 0.1730 0.8270 0.2500
Rb2 0.3460 0.1730 0.7500
Rb3 0.6540 0.8270 0.2500
Rb4 0.8270 0.1730 0.7500
Rb5 0.1730 0.3460 0.2500
Rb6 0.8270 0.6540 0.7500
```

***

Computed, not measured: a relaxed KLu3F10 crystal at the meta-GGA r2SCAN level of DFT.

For the magnetization, the calculation gives 0.00 μB per formula unit. As for the formation energy: -4.34 eV/atom. The crystal system is cubic. As for the uncorrected energy: -15.1597 eV per atom.

Structure (CIF):
```
data_KLu3F10
_chemical_formula_sum 'K2 Lu6 F20'
_cell_length_a 7.9265
_cell_length_b 7.9265
_cell_length_c 7.9265
_cell_angle_alpha 60.00
_cell_angle_beta 60.00
_cell_angle_gamma 60.00
_space_group_name_H-M_alt 'P 1'
_space_group_IT_number 1
loop_
_space_group_symop_operation_xyz
'x,y,z'
loop_
_atom_site_label
_atom_site_fract_x
_atom_site_fract_y
_atom_site_fract_z
F1 0.8309 0.1693 0.4999
F2 0.5001 0.8307 0.1691
F3 0.8310 0.5000 0.5000
F4 0.8880 0.3360 0.8880
F5 0.4999 0.1693 0.4999
F6 0.1120 0.6640 0.1120
F7 0.5001 0.8307 0.5001
F8 0.1691 0.8307 0.5001
F9 0.3358 0.8880 0.8881
F10 0.5000 0.5000 0.8309
F11 0.1690 0.5000 0.8310
F12 0.8881 0.8880 0.3358
F13 0.8881 0.8880 0.8881
F14 0.8310 0.5000 0.1690
F15 0.1119 0.1120 0.1119
F16 0.4999 0.1693 0.8309
F17 0.1119 0.1120 0.6642
F18 0.5000 0.5000 0.1691
F19 0.6642 0.1120 0.1119
F20 0.1690 0.5000 0.5000
Lu1 0.7596 0.7595 0.2404
Lu2 0.7596 0.2405 0.2404
Lu3 0.2404 0.7595 0.7596
Lu4 0.2404 0.2405 0.7596
Lu5 0.2404 0.7595 0.2404
Lu6 0.7596 0.2405 0.7596
K1 0.2500 0.2500 0.2500
K2 0.7500 0.7500 0.7500
```

***

Computed, not measured: a relaxed Zr3Pb crystal at the meta-GGA r2SCAN level of DFT.

For the magnetization, the calculation gives 0.00 μB per formula unit. As for the formation energy: -0.21 eV/atom. The crystal system is tetragonal. As for the uncorrected energy: -31.3468 eV per atom.

Structure (CIF):
```
data_Zr3Pb
_chemical_formula_sum 'Zr3 Pb1'
_cell_length_a 5.7307
_cell_length_b 5.7307
_cell_length_c 5.7307
_cell_angle_alpha 135.02
_cell_angle_beta 135.02
_cell_angle_gamma 65.50
_space_group_name_H-M_alt 'P 1'
_space_group_IT_number 1
loop_
_space_group_symop_operation_xyz
'x,y,z'
loop_
_atom_site_label
_atom_site_fract_x
_atom_site_fract_y
_atom_site_fract_z
Zr1 0.2500 0.7500 0.5000
Zr2 0.7500 0.2500 0.5000
Zr3 0.5000 0.5000 0.0000
Pb1 0.0000 0.0000 0.0000
```

***

Computed, not measured: a relaxed U crystal at the meta-GGA r2SCAN level of DFT.

For the magnetization, the calculation gives 0.00 μB per formula unit. As for the formation energy: 0.02 eV/atom. The crystal system is orthorhombic. As for the uncorrected energy: -79.9214 eV per atom.

Structure (CIF):
```
data_U
_chemical_formula_sum 'U8'
_cell_length_a 6.7233
_cell_length_b 4.9797
_cell_length_c 4.7874
_cell_angle_alpha 90.00
_cell_angle_beta 90.00
_cell_angle_gamma 90.00
_space_group_name_H-M_alt 'P 1'
_space_group_IT_number 1
loop_
_space_group_symop_operation_xyz
'x,y,z'
loop_
_atom_site_label
_atom_site_fract_x
_atom_site_fract_y
_atom_site_fract_z
U1 0.1870 0.6584 0.7500
U2 0.5307 0.7114 0.2500
U3 0.9693 0.2114 0.7500
U4 0.0307 0.7886 0.2500
U5 0.8130 0.3416 0.2500
U6 0.4693 0.2886 0.7500
U7 0.6870 0.8416 0.7500
U8 0.3130 0.1584 0.2500
```

***

Computed, not measured: a relaxed Er4Ga16Co3 crystal at the meta-GGA r2SCAN level of DFT.

For the magnetization, the calculation gives 0.00 μB per formula unit. As for the formation energy: -0.52 eV/atom. The crystal system is tetragonal. As for the uncorrected energy: -16.1022 eV per atom.

Structure (CIF):
```
data_Er4Ga16Co3
_chemical_formula_sum 'Er4 Ga16 Co3'
_cell_length_a 5.9431
_cell_length_b 5.9431
_cell_length_c 10.9195
_cell_angle_alpha 90.00
_cell_angle_beta 90.00
_cell_angle_gamma 90.00
_space_group_name_H-M_alt 'P 1'
_space_group_IT_number 1
loop_
_space_group_symop_operation_xyz
'x,y,z'
loop_
_atom_site_label
_atom_site_fract_x
_atom_site_fract_y
_atom_site_fract_z
Ga1 0.7189 0.2811 0.0000
Ga2 0.2496 0.7504 0.6158
Ga3 0.2811 0.2811 0.0000
Ga4 0.0000 0.0000 0.2187
Ga5 0.7189 0.7189 0.0000
Ga6 0.7504 0.2496 0.3842
Ga7 0.7504 0.2496 0.6158
Ga8 0.5000 0.5000 0.1954
Ga9 0.2496 0.2496 0.3842
Ga10 0.5000 0.5000 0.8046
Ga11 0.7504 0.7504 0.6158
Ga12 0.7504 0.7504 0.3842
Ga13 0.2496 0.2496 0.6158
Ga14 0.0000 0.0000 0.7813
Ga15 0.2811 0.7189 0.0000
Ga16 0.2496 0.7504 0.3842
Er1 0.0000 0.5000 0.8052
Er2 0.5000 0.0000 0.1948
Er3 0.5000 0.0000 0.8052
Er4 0.0000 0.5000 0.1948
Co1 0.0000 0.5000 0.5000
Co2 0.5000 0.0000 0.5000
Co3 0.0000 0.0000 0.0000
```

***

Computed, not measured: a relaxed YbClO crystal at the meta-GGA r2SCAN level of DFT.

For the magnetization, the calculation gives 0.00 μB per formula unit. As for the formation energy: -3.48 eV/atom. The crystal system is trigonal. As for the uncorrected energy: -19.7031 eV per atom.

Structure (CIF):
```
data_YbClO
_chemical_formula_sum 'Yb2 Cl2 O2'
_cell_length_a 9.6744
_cell_length_b 9.6744
_cell_length_c 9.6744
_cell_angle_alpha 22.01
_cell_angle_beta 22.01
_cell_angle_gamma 22.01
_space_group_name_H-M_alt 'P 1'
_space_group_IT_number 1
loop_
_space_group_symop_operation_xyz
'x,y,z'
loop_
_atom_site_label
_atom_site_fract_x
_atom_site_fract_y
_atom_site_fract_z
Yb1 0.6175 0.6175 0.6175
Yb2 0.3825 0.3825 0.3825
O1 0.3040 0.3040 0.3040
O2 0.6960 0.6960 0.6960
Cl1 0.8902 0.8902 0.8902
Cl2 0.1098 0.1098 0.1098
```

***

Computed, not measured: a relaxed KTe2O6 crystal at the meta-GGA r2SCAN level of DFT.

For the magnetization, the calculation gives 0.00 μB per formula unit. As for the formation energy: -1.31 eV/atom. The crystal system is monoclinic. As for the uncorrected energy: -11.6088 eV per atom.

Structure (CIF):
```
data_KTe2O6
_chemical_formula_sum 'K4 Te8 O24'
_cell_length_a 7.1877
_cell_length_b 7.1877
_cell_length_c 12.1348
_cell_angle_alpha 75.26
_cell_angle_beta 75.26
_cell_angle_gamma 60.58
_space_group_name_H-M_alt 'P 1'
_space_group_IT_number 1
loop_
_space_group_symop_operation_xyz
'x,y,z'
loop_
_atom_site_label
_atom_site_fract_x
_atom_site_fract_y
_atom_site_fract_z
Te1 0.5000 0.0000 0.5000
Te2 0.5000 0.5000 0.0000
Te3 0.0000 0.5000 0.5000
Te4 0.5000 0.0000 0.0000
Te5 0.7387 0.7387 0.7391
Te6 0.0000 0.5000 0.0000
Te7 0.2613 0.2613 0.2609
Te8 0.0000 0.0000 0.5000
K1 0.5565 0.5565 0.3131
K2 0.9083 0.9083 0.1936
K3 0.0917 0.0917 0.8065
K4 0.4435 0.4435 0.6867
O1 0.7402 0.7401 0.4444
O2 0.8547 0.4772 0.6550
O3 0.4632 0.0078 0.1577
O4 0.4772 0.8547 0.6550
O5 0.1998 0.1998 0.9911
O6 0.9947 0.9947 0.6508
O7 0.4153 0.4153 0.1597
O8 0.1453 0.5228 0.3450
O9 0.0873 0.6816 0.5413
O10 0.0053 0.0053 0.3492
O11 0.5368 0.9922 0.8423
O12 0.5228 0.1453 0.3450
O13 0.6006 0.2222 0.9578
O14 0.9921 0.5368 0.8423
O15 0.5847 0.5847 0.8403
O16 0.2599 0.2599 0.5556
O17 0.8002 0.8002 0.0089
O18 0.3184 0.9127 0.4587
O19 0.7778 0.3993 0.0422
O20 0.9127 0.3184 0.4587
O21 0.0078 0.4632 0.1577
O22 0.3993 0.7778 0.0422
O23 0.6816 0.0873 0.5413
O24 0.2222 0.6007 0.9578
```

***

Computed, not measured: a relaxed NbFeSb crystal at the meta-GGA r2SCAN level of DFT.

For the magnetization, the calculation gives 0.00 μB per formula unit. As for the formation energy: -0.24 eV/atom. The crystal system is cubic. As for the uncorrected energy: -21.8552 eV per atom.

Structure (CIF):
```
data_NbFeSb
_chemical_formula_sum 'Nb1 Fe1 Sb1'
_cell_length_a 4.2012
_cell_length_b 4.2012
_cell_length_c 4.2012
_cell_angle_alpha 60.00
_cell_angle_beta 60.00
_cell_angle_gamma 60.00
_space_group_name_H-M_alt 'P 1'
_space_group_IT_number 1
loop_
_space_group_symop_operation_xyz
'x,y,z'
loop_
_atom_site_label
_atom_site_fract_x
_atom_site_fract_y
_atom_site_fract_z
Sb1 0.5000 0.5000 0.5000
Nb1 0.0000 0.0000 0.0000
Fe1 0.2500 0.2500 0.2500
```